Record 1
Ba2Ga2S5: relaxed, PBE.

Lattice parameters (Å, degrees): 10.858 10.858 8.645 79.01 79.01 87.75
Sites, in units of the cell vectors:
Ba 0.019 0.278 0.611
Ba 0.722 0.981 0.889
Ba 0.981 0.722 0.389
Ba 0.278 0.019 0.111
Ba 0.432 0.268 0.605
Ba 0.732 0.568 0.895
Ba 0.568 0.732 0.395
Ba 0.268 0.432 0.105
Ga 0.232 0.623 0.616
Ga 0.377 0.768 0.884
Ga 0.768 0.377 0.384
Ga 0.623 0.232 0.116
Ga 0.228 0.976 0.587
Ga 0.024 0.772 0.913
Ga 0.772 0.024 0.413
Ga 0.976 0.228 0.087
S 0.967 0.033 0.250
S 0.033 0.967 0.750
S 0.034 0.614 0.765
S 0.386 0.966 0.735
S 0.966 0.386 0.235
S 0.614 0.034 0.265
S 0.242 0.477 0.463
S 0.523 0.758 0.037
S 0.758 0.523 0.537
S 0.477 0.242 0.963
S 0.839 0.746 0.088
S 0.254 0.161 0.412
S 0.161 0.254 0.912
S 0.746 0.839 0.588
S 0.261 0.816 0.442
S 0.184 0.739 0.058
S 0.400 0.600 0.750
S 0.600 0.400 0.250
S 0.816 0.261 0.942
S 0.739 0.184 0.558

## Properties
Formation enthalpy at 0 K: -1669 meV per atom
Total energy: -172.3 eV per cell
Symmetry: C2/c (15)


Record 2
BaGa2S4: relaxed, PBE.

Lattice parameters (Å, degrees): 12.840 12.840 12.840 90.00 90.00 90.00
Sites, in units of the cell vectors:
Ba 0.000 0.000 0.000
Ba 0.000 0.500 0.500
Ba 0.128 0.872 0.372
Ba 0.128 0.628 0.872
Ba 0.372 0.372 0.372
Ba 0.372 0.128 0.872
Ba 0.500 0.000 0.500
Ba 0.500 0.500 0.000
Ba 0.628 0.872 0.128
Ba 0.628 0.628 0.628
Ba 0.872 0.128 0.628
Ba 0.872 0.372 0.128
Ga 0.127 0.196 0.357
Ga 0.127 0.304 0.857
Ga 0.143 0.627 0.196
Ga 0.143 0.873 0.696
Ga 0.196 0.143 0.627
Ga 0.196 0.357 0.127
Ga 0.304 0.857 0.127
Ga 0.304 0.643 0.627
Ga 0.357 0.127 0.196
Ga 0.357 0.373 0.696
Ga 0.373 0.696 0.357
Ga 0.373 0.804 0.857
Ga 0.627 0.196 0.143
Ga 0.627 0.304 0.643
Ga 0.643 0.627 0.304
Ga 0.643 0.873 0.804
Ga 0.696 0.143 0.873
Ga 0.696 0.357 0.373
Ga 0.804 0.643 0.873
Ga 0.804 0.857 0.373
Ga 0.857 0.127 0.304
Ga 0.857 0.373 0.804
Ga 0.873 0.696 0.143
Ga 0.873 0.804 0.643
S 0.027 0.077 0.271
S 0.027 0.423 0.771
S 0.077 0.271 0.027
S 0.077 0.229 0.527
S 0.128 0.362 0.293
S 0.128 0.138 0.793
S 0.138 0.793 0.128
S 0.138 0.707 0.628
S 0.207 0.628 0.362
S 0.207 0.872 0.862
S 0.229 0.527 0.077
S 0.229 0.973 0.577
S 0.271 0.027 0.077
S 0.271 0.473 0.577
S 0.293 0.128 0.362
S 0.293 0.372 0.862
S 0.362 0.293 0.128
S 0.362 0.207 0.628
S 0.372 0.862 0.293
S 0.372 0.638 0.793
S 0.423 0.729 0.527
S 0.423 0.771 0.027
S 0.473 0.577 0.271
S 0.473 0.923 0.771
S 0.527 0.077 0.229
S 0.527 0.423 0.729
S 0.577 0.271 0.473
S 0.577 0.229 0.973
S 0.628 0.362 0.207
S 0.628 0.138 0.707
S 0.638 0.707 0.872
S 0.638 0.793 0.372
S 0.707 0.628 0.138
S 0.707 0.872 0.638
S 0.729 0.527 0.423
S 0.729 0.973 0.923
S 0.771 0.027 0.423
S 0.771 0.473 0.923
S 0.793 0.128 0.138
S 0.793 0.372 0.638
S 0.862 0.207 0.872
S 0.862 0.293 0.372
S 0.872 0.638 0.707
S 0.872 0.862 0.207
S 0.923 0.729 0.973
S 0.923 0.771 0.473
S 0.973 0.577 0.229
S 0.973 0.923 0.729

## Properties
Formation enthalpy at 0 K: -1462 meV per atom
Total energy: -392.9 eV per cell
Symmetry: Pa-3 (205)


Record 3
Ba3Ga2S6: relaxed, PBE.

Lattice parameters (Å, degrees): 8.615 8.615 9.230 89.08 89.08 115.68
Sites, in units of the cell vectors:
Ba 0.035 0.965 0.750
Ba 0.965 0.035 0.250
Ba 0.266 0.542 0.509
Ba 0.458 0.734 0.991
Ba 0.734 0.458 0.491
Ba 0.542 0.266 0.009
Ga 0.980 0.654 0.068
Ga 0.346 0.020 0.432
Ga 0.020 0.346 0.932
Ga 0.654 0.980 0.568
S 0.530 0.914 0.335
S 0.086 0.470 0.165
S 0.470 0.086 0.665
S 0.914 0.530 0.835
S 0.271 0.369 0.833
S 0.631 0.729 0.667
S 0.729 0.631 0.167
S 0.369 0.271 0.333
S 0.202 0.920 0.041
S 0.080 0.798 0.459
S 0.920 0.202 0.541
S 0.798 0.080 0.959

## Properties
Formation enthalpy at 0 K: -1793 meV per atom
Total energy: -106.7 eV per cell
Symmetry: C2/c (15)